1.
22
Lattice="0.0000 3.9175 0.0001 -7.6394 1.9590 0.4334 -2.0672 0.0000 9.6901" Properties=species:S:1:pos:R:3 comment="Sr2MgTi6N2O11 (PBE-GGA, relaxed)" total_magnetization_mub_per_atom=0.0000 space_group="Cm, No. 8" pbc="T T T"
N -2.8701 3.9116 1.3437
N -4.8291 1.9529 2.6346
O -7.6873 1.9528 3.5551
O -5.6419 3.9116 4.4224
O -5.0211 3.9118 7.5104
O -6.8474 1.9530 8.8373
O -2.9848 3.9116 4.0244
O -5.8226 3.9117 0.9846
O -6.7469 1.9531 6.2263
O -2.0662 3.9111 6.6434
O -4.0686 1.9529 5.8502
O -3.9022 1.9528 9.0090
O -0.0273 3.9116 0.0901
Ti -5.5939 1.9529 0.8079
Ti -5.3392 1.9530 7.4829
Ti -3.6090 3.9115 5.7780
Ti -4.4116 3.9117 2.5693
Ti -4.1608 3.9116 9.4170
Ti -6.0884 1.9528 4.2906
Sr -1.7926 1.9529 3.0066
Sr -8.0094 3.9118 7.2486
Mg -0.0682 1.9529 0.1248


2.
22
Lattice="0.5655 -2.1508 -3.1294 4.2834 -6.1931 2.6771 -6.7389 -7.4011 3.8688" Properties=species:S:1:pos:R:3 comment="Sr2MgTi6N2O11 (PBE-GGA, relaxed)" total_magnetization_mub_per_atom=0.0036 space_group="Cm, No. 8" pbc="T T T"
O -1.8149 -6.8586 2.0392
O 0.0417 -8.4815 1.1354
O -1.0655 -6.0765 -0.7162
O 3.0170 -6.6415 0.4085
O -3.5280 -7.6828 -0.0601
O -5.8654 -9.6499 0.8686
O -2.8361 -11.5435 5.0737
O -0.9562 -9.3262 3.8898
O -4.4200 -9.2872 3.2359
O 1.9872 -7.4502 3.1344
O -2.5371 -10.7845 2.2503
N 0.7434 -5.5645 1.6126
N 1.1810 -4.5819 -1.3397
Ti -1.7962 -7.5119 0.1369
Ti 0.1522 -7.0838 2.5497
Ti 1.1548 -6.0943 -0.3043
Ti -2.7771 -10.0794 4.0777
Ti 2.7132 -5.8481 2.1632
Ti -4.5923 -10.6281 1.7714
Sr -1.0781 -13.4056 4.3162
Sr -1.0053 -3.4817 -0.1355
Mg -0.6688 -10.0715 2.0991


What should be chosen as the least stable of them? Choose 1.